No. 1
FeH5CNCl2O2 | the Materials Project database | PBE+U | relaxed; energy of formation = -929 meV per atom; size of the total moment = 0.000 μB per atom
1.0
-0.142 0.002 -6.931
-3.946 -5.644 1.146
-11.825 5.633 3.429
Fe H C N Cl O
4 20 4 4 8 8
Direct
0.500 0.500 0.500
0.000 0.000 0.000
0.500 0.000 0.000
0.000 0.500 0.500
0.249 0.507 0.164
0.250 0.008 0.664
0.750 0.993 0.336
0.751 0.492 0.836
0.269 0.127 0.361
0.269 0.627 0.860
0.231 0.023 0.256
0.231 0.523 0.756
0.731 0.373 0.140
0.731 0.873 0.639
0.769 0.477 0.244
0.769 0.977 0.744
0.376 0.919 0.367
0.376 0.419 0.867
0.124 0.909 0.357
0.124 0.409 0.857
0.624 0.581 0.133
0.624 0.081 0.633
0.876 0.591 0.143
0.876 0.092 0.643
0.250 0.654 0.115
0.250 0.154 0.615
0.750 0.846 0.385
0.750 0.346 0.885
0.250 0.994 0.335
0.250 0.494 0.835
0.750 0.506 0.165
0.750 0.006 0.665
0.319 0.177 0.091
0.319 0.677 0.591
0.181 0.452 0.366
0.181 0.952 0.866
0.681 0.323 0.409
0.681 0.823 0.909
0.819 0.048 0.134
0.819 0.548 0.634
0.413 0.728 0.088
0.413 0.228 0.588
0.087 0.732 0.092
0.087 0.232 0.592
0.587 0.772 0.412
0.587 0.272 0.912
0.913 0.768 0.408
0.913 0.268 0.908

No. 2
FeH2C4N4Cl6O | the Materials Project database | PBE+U | relaxed; energy of formation = 903 meV per atom; size of the total moment = 0.333 μB per atom; space-group type = Pba2 (32)
1.0
7.112 0.000 0.000
0.000 9.618 0.000
0.000 0.000 12.217
Fe H C N Cl O
2 4 8 8 12 2
Direct
0.001 0.000 0.000
0.001 0.500 0.500
0.532 0.534 0.058
0.532 0.466 0.942
0.532 0.966 0.558
0.532 0.034 0.442
0.492 0.769 0.825
0.492 0.231 0.175
0.492 0.731 0.325
0.492 0.269 0.675
0.053 0.633 0.169
0.053 0.367 0.831
0.053 0.867 0.669
0.053 0.133 0.331
0.911 0.577 0.146
0.911 0.423 0.854
0.911 0.923 0.646
0.911 0.077 0.354
0.501 0.784 0.921
0.501 0.216 0.079
0.501 0.716 0.421
0.501 0.284 0.579
0.996 0.215 0.089
0.996 0.785 0.911
0.996 0.285 0.589
0.996 0.715 0.411
0.234 0.915 0.122
0.234 0.085 0.878
0.234 0.585 0.622
0.234 0.415 0.378
0.766 0.921 0.120
0.766 0.079 0.880
0.766 0.579 0.620
0.766 0.421 0.380
0.614 0.500 0.000
0.614 0.000 0.500

No. 3
FeH12C6NCl2O4 | the Materials Project database | PBE+U | relaxed; energy of formation = -616 meV per atom; size of the total moment = 0.193 μB per atom; space-group type = P2_1/c (14)
1.0
8.862 0.000 0.000
0.000 8.391 0.000
0.000 0.656 18.416
Fe H C N Cl O
4 48 24 4 8 16
Direct
0.750 0.579 0.915
0.250 0.421 0.585
0.250 0.421 0.085
0.750 0.579 0.415
0.862 0.066 0.062
0.362 0.934 0.438
0.138 0.934 0.938
0.638 0.066 0.562
0.665 0.105 0.045
0.165 0.895 0.455
0.335 0.895 0.955
0.835 0.105 0.545
0.739 0.906 0.039
0.239 0.094 0.461
0.261 0.094 0.961
0.761 0.906 0.539
0.553 0.807 0.125
0.053 0.193 0.375
0.447 0.193 0.875
0.947 0.807 0.625
0.476 0.005 0.130
0.976 0.995 0.370
0.524 0.995 0.870
0.024 0.005 0.630
0.536 0.895 0.211
0.036 0.105 0.289
0.464 0.105 0.789
0.964 0.895 0.711
0.836 0.190 0.180
0.336 0.810 0.320
0.164 0.810 0.820
0.664 0.190 0.680
0.696 0.116 0.243
0.196 0.884 0.257
0.304 0.884 0.757
0.804 0.116 0.743
0.639 0.224 0.162
0.139 0.776 0.338
0.361 0.776 0.838
0.861 0.224 0.662
0.938 0.921 0.171
0.438 0.079 0.329
0.062 0.079 0.829
0.562 0.921 0.671
0.817 0.760 0.148
0.317 0.240 0.352
0.183 0.240 0.852
0.683 0.760 0.648
0.798 0.848 0.235
0.298 0.152 0.265
0.202 0.152 0.765
0.702 0.848 0.735
0.747 0.018 0.067
0.247 0.982 0.433
0.253 0.982 0.933
0.753 0.018 0.567
0.558 0.919 0.154
0.058 0.081 0.346
0.442 0.081 0.846
0.942 0.919 0.654
0.722 0.141 0.185
0.222 0.859 0.315
0.278 0.859 0.815
0.778 0.141 0.685
0.825 0.870 0.178
0.325 0.130 0.322
0.175 0.130 0.822
0.675 0.870 0.678
0.527 0.413 0.004
0.027 0.587 0.496
0.473 0.587 0.996
0.973 0.413 0.504
0.969 0.546 0.032
0.469 0.454 0.468
0.031 0.454 0.968
0.531 0.546 0.532
0.713 0.988 0.146
0.213 0.012 0.354
0.287 0.012 0.854
0.787 0.988 0.646
0.656 0.502 0.807
0.156 0.498 0.693
0.344 0.498 0.193
0.844 0.502 0.307
0.840 0.829 0.876
0.340 0.171 0.624
0.160 0.171 0.124
0.660 0.829 0.376
0.843 0.615 0.023
0.343 0.385 0.477
0.157 0.385 0.977
0.657 0.615 0.523
0.647 0.378 0.970
0.147 0.622 0.530
0.353 0.622 0.030
0.853 0.378 0.470
0.951 0.454 0.911
0.451 0.546 0.589
0.049 0.546 0.089
0.549 0.454 0.411
0.553 0.682 0.957
0.053 0.318 0.543
0.447 0.318 0.043
0.947 0.682 0.457

No. 4
Fe2H13C6NCl2O11 | the Materials Project database | PBE+U | relaxed; energy of formation = -1065 meV per atom; size of the total moment = 0.286 μB per atom; space-group type = Cc (9)
1.0
-4.007 -6.316 -4.815
8.375 1.992 -2.239
5.980 -10.261 4.350
Fe H C N Cl O
4 26 12 2 4 22
Direct
0.076 0.663 0.835
0.663 0.076 0.335
0.023 0.928 0.608
0.928 0.023 0.108
0.935 0.608 0.681
0.608 0.935 0.181
0.441 0.193 0.673
0.193 0.441 0.173
0.461 0.141 0.801
0.141 0.461 0.301
0.637 0.304 0.698
0.304 0.637 0.198
0.876 0.500 0.347
0.500 0.876 0.847
0.996 0.655 0.389
0.655 0.996 0.889
0.901 0.328 0.672
0.328 0.901 0.172
0.890 0.424 0.555
0.424 0.890 0.055
0.305 0.311 0.780
0.311 0.305 0.280
0.505 0.486 0.682
0.486 0.505 0.182
0.472 0.529 0.874
0.529 0.472 0.374
0.657 0.502 0.832
0.502 0.657 0.332
0.459 0.324 0.931
0.324 0.459 0.431
0.899 0.768 0.993
0.768 0.899 0.493
0.087 0.923 0.939
0.923 0.087 0.439
0.934 0.297 0.941
0.297 0.934 0.441
0.057 0.391 0.007
0.391 0.057 0.507
0.448 0.375 0.759
0.375 0.448 0.259
0.514 0.435 0.855
0.435 0.514 0.355
0.500 0.245 0.731
0.245 0.500 0.231
0.343 0.727 0.726
0.727 0.343 0.226
0.945 0.056 0.732
0.056 0.945 0.232
0.977 0.709 0.712
0.709 0.977 0.212
0.858 0.637 0.957
0.637 0.858 0.457
0.185 0.904 0.862
0.904 0.185 0.362
0.802 0.788 0.070
0.788 0.802 0.570
0.132 0.056 0.974
0.056 0.132 0.474
0.852 0.132 0.973
0.132 0.852 0.473
0.074 0.294 0.086
0.294 0.074 0.586
0.132 0.556 0.979
0.556 0.132 0.479
0.927 0.396 0.858
0.396 0.927 0.358
0.956 0.531 0.394
0.531 0.956 0.894
0.857 0.402 0.638
0.402 0.857 0.138

No. 5
Li2Fe2C4Cl2O13 | the Materials Project database | PBE+U | relaxed; energy of formation = -986 meV per atom; size of the total moment = 0.267 μB per atom; space-group type = Fdd2 (43)
1.0
5.028 -12.933 1.133
-1.992 -11.195 5.387
-0.295 -4.811 -6.868
Li Fe C Cl O
4 4 8 4 26
Direct
0.090 0.278 0.231
0.401 0.231 0.278
0.019 0.849 0.160
0.972 0.160 0.849
0.516 0.887 0.145
0.453 0.145 0.887
0.105 0.797 0.734
0.363 0.734 0.797
0.505 0.710 0.409
0.375 0.409 0.710
0.841 0.875 0.745
0.540 0.745 0.875
0.352 0.919 0.534
0.195 0.534 0.919
0.716 0.055 0.898
0.331 0.898 0.055
0.761 0.762 0.125
0.352 0.125 0.762
0.125 0.898 0.489
0.488 0.489 0.898
0.368 0.132 0.132
0.118 0.882 0.882
0.594 0.663 0.229
0.513 0.229 0.663
0.021 0.737 0.656
0.587 0.656 0.737
0.338 0.018 0.444
0.199 0.444 0.018
0.806 0.051 0.912
0.232 0.912 0.051
0.251 0.974 0.714
0.061 0.714 0.974
0.536 0.189 0.999
0.276 0.999 0.189
0.524 0.609 0.501
0.366 0.501 0.609
0.749 0.884 0.726
0.641 0.726 0.884
0.947 0.307 0.145
0.600 0.145 0.307
0.105 0.650 0.303
0.943 0.303 0.650
0.900 0.203 0.290
0.608 0.290 0.203
0.960 0.642 0.350
0.047 0.350 0.642

No. 6
MnH12C2NCl3O2 | the Materials Project database | PBE+U | relaxed; energy of formation = -315 meV per atom; size of the total moment = 0.000 μB per atom; space-group type = Cmce (64)
1.0
6.470 -10.102 0.000
6.470 10.102 0.000
0.000 0.000 11.380
Mn H C N Cl O
4 48 8 4 12 8
Direct
0.399 0.399 0.585
0.601 0.601 0.415
0.101 0.101 0.085
0.899 0.899 0.915
0.830 0.793 0.642
0.207 0.170 0.358
0.707 0.670 0.142
0.330 0.293 0.858
0.170 0.207 0.358
0.793 0.830 0.642
0.293 0.330 0.858
0.670 0.707 0.142
0.512 0.252 0.010
0.748 0.488 0.990
0.248 0.988 0.510
0.012 0.752 0.490
0.488 0.748 0.990
0.252 0.512 0.010
0.752 0.012 0.490
0.988 0.248 0.510
0.597 0.332 0.563
0.668 0.403 0.437
0.168 0.903 0.063
0.097 0.832 0.937
0.403 0.668 0.437
0.332 0.597 0.563
0.832 0.097 0.937
0.903 0.168 0.063
0.313 0.970 0.908
0.030 0.687 0.092
0.530 0.187 0.408
0.813 0.470 0.592
0.687 0.030 0.092
0.970 0.313 0.908
0.470 0.813 0.592
0.187 0.530 0.408
0.290 0.815 0.879
0.185 0.710 0.121
0.685 0.210 0.379
0.790 0.315 0.621
0.710 0.185 0.121
0.815 0.290 0.879
0.315 0.790 0.621
0.210 0.685 0.379
0.614 0.145 0.516
0.855 0.386 0.484
0.355 0.886 0.016
0.114 0.645 0.984
0.386 0.855 0.484
0.145 0.614 0.516
0.645 0.114 0.984
0.886 0.355 0.016
0.289 0.880 0.946
0.120 0.711 0.054
0.620 0.211 0.446
0.789 0.380 0.554
0.711 0.120 0.054
0.880 0.289 0.946
0.380 0.789 0.554
0.211 0.620 0.446
0.664 0.336 0.500
0.164 0.836 0.000
0.336 0.664 0.500
0.836 0.164 0.000
0.086 0.086 0.881
0.914 0.914 0.119
0.414 0.414 0.381
0.586 0.586 0.619
0.521 0.249 0.897
0.751 0.479 0.103
0.251 0.979 0.397
0.021 0.749 0.603
0.479 0.751 0.103
0.249 0.521 0.897
0.749 0.021 0.603
0.979 0.251 0.397
0.204 0.048 0.132
0.952 0.796 0.868
0.452 0.296 0.632
0.704 0.548 0.368
0.796 0.952 0.868
0.048 0.204 0.132
0.548 0.704 0.368
0.296 0.452 0.632

Among the records above, which one has the highest size of the total moment? FeH2C4N4Cl6O

Number 1 is which compound? FeH5CNCl2O2

size of the total moment of number 4 (Fe2H13C6NCl2O11)? 0.286 μB per atom